# 1
A relaxed Rb4TmI6 crystal, computed with PBE.

Calculated values
SG = No. 167
E_tot = -2.946 eV/atom
Formation energy = -1558 meV/atom

Cell lengths 10.195, 10.195, 10.195 Å; angles 90.16, 90.16, 90.16 degrees
Atoms (fractional coordinates):
Rb1 0.870 0.250 0.630
Rb2 0.370 0.130 0.750
Rb3 0.750 0.370 0.130
Rb4 0.130 0.750 0.370
Rb5 0.250 0.250 0.250
Rb6 0.630 0.870 0.250
Rb7 0.250 0.630 0.870
Rb8 0.750 0.750 0.750
Tm1 0.500 0.500 0.500
Tm2 0.000 0.000 0.000
I1 0.711 0.057 0.933
I2 0.289 0.943 0.067
I3 0.567 0.443 0.789
I4 0.067 0.289 0.943
I5 0.211 0.433 0.557
I6 0.789 0.567 0.443
I7 0.057 0.933 0.711
I8 0.433 0.557 0.211
I9 0.557 0.211 0.433
I10 0.443 0.789 0.567
I11 0.933 0.711 0.057
I12 0.943 0.067 0.289

***

# 2
A relaxed Rb5Tm3I12 crystal, computed with PBE.

Calculated values
SG = No. 189
M_tot = 1.5 μB/f.u.
E_tot = -3.174 eV/atom
Formation energy = -1570 meV/atom

Cell lengths 15.096, 15.096, 4.588 Å; angles 90.00, 90.00, 120.00 degrees
Atoms (fractional coordinates):
Rb1 0.333 0.667 0.000
Rb2 0.667 0.333 0.000
Rb3 0.718 0.000 0.000
Rb4 0.000 0.718 0.000
Rb5 0.282 0.282 0.000
Tm1 0.322 0.000 0.500
Tm2 0.000 0.322 0.500
Tm3 0.678 0.678 0.500
I1 0.185 0.000 0.000
I2 0.000 0.185 0.000
I3 0.815 0.815 0.000
I4 0.457 0.000 0.000
I5 0.000 0.457 0.000
I6 0.543 0.543 0.000
I7 0.233 0.441 0.500
I8 0.559 0.792 0.500
I9 0.441 0.233 0.500
I10 0.208 0.767 0.500
I11 0.792 0.559 0.500
I12 0.767 0.208 0.500

***

# 3
A relaxed Rb2UI5 crystal, computed with PBE.

Calculated values
SG = No. 62
M_tot = 0.1 μB/f.u.
E_tot = -3.764 eV/atom
Formation energy = -1391 meV/atom

Cell lengths 9.402, 9.992, 15.320 Å; angles 90.00, 90.00, 90.00 degrees
Atoms (fractional coordinates):
Rb1 0.537 0.502 0.825
Rb2 0.463 0.498 0.175
Rb3 0.037 0.498 0.675
Rb4 0.463 0.002 0.175
Rb5 0.963 0.502 0.325
Rb6 0.537 0.998 0.825
Rb7 0.963 0.998 0.325
Rb8 0.037 0.002 0.675
U1 0.574 0.750 0.501
U2 0.426 0.250 0.499
U3 0.074 0.250 0.999
U4 0.926 0.750 0.001
I1 0.830 0.750 0.802
I2 0.170 0.250 0.198
I3 0.330 0.250 0.698
I4 0.670 0.750 0.302
I5 0.365 0.750 0.666
I6 0.635 0.250 0.334
I7 0.865 0.250 0.834
I8 0.135 0.750 0.166
I9 0.916 0.750 0.512
I10 0.084 0.250 0.488
I11 0.416 0.250 0.988
I12 0.584 0.750 0.012
I13 0.655 0.042 0.580
I14 0.345 0.958 0.420
I15 0.155 0.958 0.920
I16 0.345 0.542 0.420
I17 0.845 0.042 0.080
I18 0.655 0.458 0.580
I19 0.845 0.458 0.080
I20 0.155 0.542 0.920

***

# 4
A relaxed RbVI3 crystal, computed with PBE.

Calculated values
SG = No. 185
M_tot = 3.0 μB/f.u.
E_tot = -3.801 eV/atom
Formation energy = -1101 meV/atom

Cell lengths 14.030, 14.030, 7.030 Å; angles 90.00, 90.00, 120.00 degrees
Atoms (fractional coordinates):
Rb1 0.669 0.669 0.795
Rb2 0.331 0.000 0.795
Rb3 0.331 0.331 0.295
Rb4 0.000 0.669 0.295
Rb5 0.000 0.331 0.795
Rb6 0.669 0.000 0.295
V1 0.333 0.667 0.095
V2 0.000 0.000 0.000
V3 0.667 0.333 0.095
V4 0.333 0.667 0.595
V5 0.667 0.333 0.595
V6 0.000 0.000 0.500
I1 0.000 0.840 0.748
I2 0.506 0.332 0.847
I3 0.174 0.506 0.347
I4 0.160 0.000 0.248
I5 0.826 0.494 0.847
I6 0.506 0.174 0.347
I7 0.494 0.826 0.847
I8 0.494 0.668 0.347
I9 0.840 0.840 0.248
I10 0.826 0.332 0.347
I11 0.174 0.668 0.847
I12 0.000 0.160 0.248
I13 0.332 0.826 0.347
I14 0.668 0.494 0.347
I15 0.332 0.506 0.847
I16 0.840 0.000 0.748
I17 0.668 0.174 0.847
I18 0.160 0.160 0.748

***

Question: What is the formula in the second record?
Answer: Rb5Tm3I12

***

Question: Which of these has the lowest formation energy?
Answer: Rb5Tm3I12

***

Question: What is the formula in the second record?
Answer: Rb5Tm3I12

***

Question: Among the records above, which one has the lowest formation energy?
Answer: Rb5Tm3I12